The following is a DFT calculation (PBE) of a relaxed Zn2Sn3O8 crystal.

CIF file:
```
data_Zn2Sn3O8
_chemical_formula_sum 'Zn4 Sn6 O16'
_cell_length_a 6.3349
_cell_length_b 6.3349
_cell_length_c 9.5061
_cell_angle_alpha 90.00
_cell_angle_beta 90.00
_cell_angle_gamma 120.00
_space_group_name_H-M_alt 'P 63 m c'
_space_group_IT_number 186
_space_group_name_Hall 'P 6c -2c'
loop_
_atom_site_label
_atom_site_fract_x
_atom_site_fract_y
_atom_site_fract_z
Zn1 0.3333 0.6667 0.0000
Zn2 0.3333 0.6667 0.3644
Sn1 0.1641 0.3282 0.7046
O1 0.0000 0.0000 0.3179
O2 0.0328 0.5164 0.8303
O3 0.1665 0.3330 0.0994
O4 0.3333 0.6667 0.5866
```

Computed properties:
DFT formation energy = -1.944 eV/atom
Calculated total energy = -5.69 eV per atom
Largest piezoelectric modulus = 0.23 C/m²